A plane-wave DFT calculation with r²SCAN was carried out for an optimized crystal structure of CeAu2.

Lattice parameters (Å, degrees): 5.962 5.965 5.965 133.07 106.11 92.28
Fractional coordinates of all 6 atoms:
Ce 0.744 0.494 0.250
Ce 0.256 0.506 0.750
Au 0.840 0.834 0.006
Au 0.160 0.166 0.994
Au 0.674 0.166 0.508
Au 0.326 0.834 0.492

The space-group type is No. 12. As for the calculated formation energy: -832 meV per atom. The value obtained for the electronic total energy is -44.84 eV/atom.